Entry 1:
A plane-wave DFT calculation with PBE was carried out for an optimized crystal structure of SmCuSe2.

Cell: 7.4383 6.6879 7.1718 Å, 83.69 90.00 90.00°
Closest atoms and distances in Å follow each position.
Fractional positions:
1 Se 0.6121 0.0988 0.7198  3 Cu 2.46-2.63
2 Se 0.2238 0.4230 0.4977  1 Cu 2.45
3 Se 0.7238 0.5770 0.0023  1 Cu 2.45
4 Cu 0.6599 0.9290 0.0455  4 Se 2.45-2.63, 1 Cu 2.62
5 Cu 0.8401 0.9290 0.5455  4 Se 2.45-2.63, 1 Cu 2.62
6 Se 0.1121 0.9012 0.7802  3 Cu 2.46-2.63
7 Cu 0.3401 0.0710 0.9545  4 Se 2.45-2.63, 1 Cu 2.62
8 Sm 0.5437 0.3056 0.2991  7 Se 2.92-3.22
9 Se 0.3879 0.9012 0.2802  3 Cu 2.46-2.63
10 Sm 0.9563 0.3056 0.7991  7 Se 2.92-3.22
11 Se 0.8879 0.0988 0.2198  3 Cu 2.46-2.63
12 Sm 0.0437 0.6944 0.2009  7 Se 2.92-3.22
13 Se 0.7762 0.5770 0.5023  1 Cu 2.45
14 Se 0.2762 0.4230 0.9977  1 Cu 2.45
15 Cu 0.1599 0.0710 0.4545  4 Se 2.45-2.63, 1 Cu 2.62
16 Sm 0.4563 0.6944 0.7009  7 Se 2.92-3.22

- Calculated total energy: -5.185 eV per atom
- Energy of formation: -1.47 eV per atom
- MP2020-corrected energy: -0.3984 Ry/atom



Entry 2:
A plane-wave DFT calculation with PBE was carried out for an optimized crystal structure of K9Ta10O30.

Cell: 8.9976 8.9982 8.9981 Å, 90.00 101.54 113.58°
Closest atoms and distances in Å follow each position.
Fractional positions:
1 O 0.2480 0.6976 0.3487  2 Ta 1.99-2.00
2 O 0.5001 0.8992 0.1976  2 Ta 1.99-2.00
3 O 0.0001 0.9001 0.6998  2 Ta 2.02-2.03
4 Ta 0.2512 0.9990 0.7479  6 O 1.99-2.03
5 K 0.0000 0.3995 0.1997  12 O 2.82-2.85
6 O 0.7497 0.0999 0.0499  2 Ta 2.03
7 K 0.9995 0.2002 0.5998  12 O 2.83-2.85
8 O 0.7499 0.4998 0.2501  2 Ta 2.01-2.03
9 O 0.7520 0.0000 0.7520  2 Ta 1.99-2.00
10 O 0.2480 0.1008 0.5505  2 Ta 1.99-2.00
11 O 0.4999 0.1008 0.8024  2 Ta 1.99-2.00
12 O 0.5000 0.5000 0.0000  2 Ta 2.02
13 O 0.2501 0.6001 0.0502  2 Ta 2.01-2.03
14 K 0.0000 0.0000 0.0000  12 O 2.82-2.85
15 Ta 0.7482 0.3969 0.4512  6 O 1.99-2.03
16 O 0.2502 0.2000 0.8499  2 Ta 2.01-2.03
17 O 0.7499 0.7001 0.8499  2 Ta 2.01-2.03
18 O 0.7520 0.8992 0.4495  2 Ta 1.99-2.00
19 Ta 0.2522 0.1985 0.3521  6 O 1.99-2.03
20 O 0.7498 0.8000 0.1501  2 Ta 2.01-2.03
21 K 0.5001 0.6007 0.3002  12 O 2.83-2.85
22 K 0.0000 0.6005 0.8003  12 O 2.82-2.85
23 O 0.7520 0.3024 0.6513  2 Ta 1.99-2.00
24 O 0.2501 0.5002 0.7499  2 Ta 2.01-2.03
25 O 0.0000 0.5000 0.5000  2 Ta 2.03
26 O 0.2502 0.4001 0.4500  2 Ta 2.02-2.03
27 O 0.2503 0.9001 0.9501  2 Ta 2.03
28 O 0.7499 0.3999 0.9498  2 Ta 2.01-2.03
29 K 0.0005 0.7998 0.4002  12 O 2.83-2.85
30 O 0.2501 0.2999 0.1501  2 Ta 2.01-2.03
31 K 0.5000 0.8001 0.8992  12 O 2.83-2.85
32 Ta 0.2491 0.3997 0.9498  6 O 2.01-2.02
33 O 0.2480 0.0000 0.2480  2 Ta 1.99-2.00
34 Ta 0.7467 0.1971 0.8469  6 O 1.99-2.04
35 O 0.7498 0.5999 0.5500  2 Ta 2.02-2.03
36 O 0.5000 0.6976 0.6008  2 Ta 1.99-2.00
37 O 0.9999 0.0999 0.3002  2 Ta 2.02-2.03
38 O 0.0002 0.7001 0.1002  2 Ta 2.01-2.04
39 K 0.4999 0.3993 0.6998  12 O 2.83-2.85
40 K 0.5000 0.1999 0.1008  12 O 2.83-2.85
41 O 0.2481 0.7984 0.6512  2 Ta 1.99-2.00
42 O 0.5000 0.3024 0.3992  2 Ta 1.99-2.00
43 O 0.9998 0.2999 0.8998  2 Ta 2.01-2.04
44 O 0.7519 0.2016 0.3488  2 Ta 1.99-2.00
45 Ta 0.7509 0.6003 0.0502  6 O 2.01-2.02
46 Ta 0.7488 0.0010 0.2521  6 O 1.99-2.03
47 Ta 0.7478 0.8015 0.6479  6 O 1.99-2.03
48 Ta 0.2518 0.6031 0.5488  6 O 1.99-2.03
49 Ta 0.2533 0.8029 0.1531  6 O 1.99-2.04

- Calculated total energy: -8.289 eV per atom
- Energy of formation: -3.06 eV per atom
- MP2020-corrected energy: -0.6402 Ry/atom